(1)
Entry from Materials Project: HfP2 after structural relaxation (meta-GGA r2SCAN).

a b c (Å): 3.498 6.473 8.652
angles (deg): 90.00 90.00 90.00
Fractional positions:
Hf 0.750 0.220 0.663
Hf 0.750 0.720 0.837
Hf 0.250 0.780 0.337
Hf 0.250 0.280 0.163
P 0.750 0.608 0.539
P 0.750 0.108 0.961
P 0.250 0.392 0.461
P 0.250 0.892 0.039
P 0.750 0.592 0.144
P 0.750 0.092 0.356
P 0.250 0.408 0.856
P 0.250 0.908 0.644

Calculated values
Electronic total energy: -22.054 eV per atom
Space group: No. 62
Energy of formation: -97 kJ/mol of atoms

=====

(2)
Entry from Materials Project: TmZnPd after structural relaxation (meta-GGA r2SCAN).

a b c (Å): 7.151 7.151 3.821
angles (deg): 90.00 90.00 120.00
Fractional positions:
Tm 0.404 0.404 0.000
Tm 0.596 0.000 0.000
Tm 0.000 0.596 0.000
Zn 0.748 0.748 0.500
Zn 0.252 0.000 0.500
Zn 0.000 0.252 0.500
Pd 0.000 0.000 0.000
Pd 0.667 0.333 0.500
Pd 0.333 0.667 0.500

Calculated values
Electronic total energy: -23.117 eV per atom
Space group: No. 189
Energy of formation: -76 kJ/mol of atoms

=====

(3)
Entry from Materials Project: ZrTe5 after structural relaxation (meta-GGA r2SCAN).

a b c (Å): 4.049 7.924 13.819
angles (deg): 90.00 90.00 104.80
Fractional positions:
Zr 0.316 0.632 0.750
Zr 0.684 0.368 0.250
Te 0.672 0.343 0.750
Te 0.328 0.657 0.250
Te 0.927 0.854 0.849
Te 0.073 0.146 0.151
Te 0.073 0.146 0.349
Te 0.927 0.854 0.651
Te 0.214 0.427 0.565
Te 0.786 0.573 0.435
Te 0.786 0.573 0.065
Te 0.214 0.427 0.935

Calculated values
Electronic total energy: -25.556 eV per atom
Space group: No. 63
Energy of formation: -56 kJ/mol of atoms

=====

(4)
Entry from Materials Project: CeSiNi after structural relaxation (meta-GGA r2SCAN).

a b c (Å): 4.040 4.038 7.513
angles (deg): 105.59 105.60 90.00
Fractional positions:
Ce 0.749 0.249 0.498
Ce 0.999 0.999 0.998
Si 0.168 0.668 0.336
Si 0.418 0.418 0.836
Ni 0.587 0.587 0.174
Ni 0.337 0.837 0.674

Calculated values
Electronic total energy: -17.942 eV per atom
Space group: No. 109
Energy of formation: -72 kJ/mol of atoms